Entry 1:
RhC8N4Cl7 | PBE | optimized geometry

Lattice parameters (Å, degrees): 8.242 8.967 13.711 90.00 90.00 90.00
Fractional positions:
Rh 0.123 0.500 0.500
Rh 0.877 0.000 0.000
C 0.570 0.209 0.453
C 0.570 0.791 0.547
C 0.430 0.291 0.953
C 0.430 0.709 0.047
C 0.353 0.255 0.330
C 0.353 0.745 0.670
C 0.647 0.245 0.830
C 0.647 0.755 0.170
C 0.842 0.448 0.163
C 0.842 0.552 0.837
C 0.158 0.052 0.663
C 0.158 0.948 0.337
C 0.095 0.296 0.143
C 0.095 0.704 0.857
C 0.905 0.204 0.643
C 0.905 0.796 0.357
N 0.449 0.224 0.399
N 0.449 0.776 0.601
N 0.551 0.276 0.899
N 0.551 0.724 0.101
N 0.953 0.365 0.144
N 0.953 0.635 0.856
N 0.047 0.135 0.644
N 0.047 0.865 0.356
Cl 0.906 0.380 0.593
Cl 0.906 0.620 0.407
Cl 0.094 0.120 0.093
Cl 0.094 0.880 0.907
Cl 0.125 0.291 0.395
Cl 0.125 0.709 0.605
Cl 0.875 0.209 0.895
Cl 0.875 0.791 0.105
Cl 0.317 0.398 0.602
Cl 0.317 0.602 0.398
Cl 0.683 0.102 0.102
Cl 0.683 0.898 0.898
Cl 0.610 0.000 0.500
Cl 0.390 0.500 0.000

Output
* raw total energy: -5.39 eV/atom
* total moment: 0.00 Bohr magnetons per cell

Entry 2:
Sn9Au4 | PBE | optimized geometry

Lattice parameters (Å, degrees): 9.434 9.434 9.341 70.33 70.33 108.65
Fractional positions:
Sn 0.977 0.977 0.812
Sn 0.778 0.778 0.230
Sn 0.205 0.996 0.019
Sn 0.996 0.205 0.019
Sn 0.288 0.288 0.351
Sn 0.002 0.725 0.633
Sn 0.725 0.002 0.633
Sn 0.639 0.639 0.654
Sn 0.389 0.659 0.339
Sn 0.659 0.389 0.339
Sn 0.365 0.712 0.995
Sn 0.608 0.270 0.731
Sn 0.367 0.005 0.274
Sn 0.712 0.365 0.995
Sn 0.005 0.367 0.274
Sn 0.270 0.608 0.731
Sn 0.000 0.366 0.634
Sn 0.366 0.000 0.634
Au 0.642 0.642 0.001
Au 0.002 0.647 0.351
Au 0.647 0.002 0.351
Au 0.356 0.356 0.000
Au 0.000 0.000 0.352
Au 0.348 0.348 0.652
Au 0.653 0.001 0.000
Au 0.001 0.653 0.000

Output
* raw total energy: -3.74 eV/atom
* total moment: 0.00 Bohr magnetons per cell

Entry 3:
Na2B2S5 | PBE | optimized geometry

Lattice parameters (Å, degrees): 7.632 8.352 12.661 90.00 90.00 90.00
Fractional positions:
Na 0.497 0.003 0.163
Na 0.997 0.997 0.837
Na 0.503 0.503 0.337
Na 0.003 0.497 0.663
Na 0.503 0.997 0.837
Na 0.003 0.003 0.163
Na 0.497 0.497 0.663
Na 0.997 0.503 0.337
B 0.250 0.595 0.121
B 0.750 0.405 0.879
B 0.750 0.095 0.379
B 0.250 0.905 0.621
B 0.250 0.292 0.014
B 0.750 0.708 0.986
B 0.750 0.792 0.486
B 0.250 0.208 0.514
S 0.250 0.418 0.493
S 0.750 0.582 0.507
S 0.750 0.918 0.007
S 0.250 0.082 0.993
S 0.250 0.736 0.226
S 0.750 0.264 0.774
S 0.750 0.236 0.274
S 0.250 0.764 0.726
S 0.250 0.378 0.147
S 0.750 0.622 0.853
S 0.750 0.878 0.353
S 0.250 0.122 0.647
S 0.250 0.434 0.905
S 0.750 0.566 0.095
S 0.750 0.934 0.595
S 0.250 0.066 0.405
S 0.250 0.655 0.984
S 0.750 0.345 0.016
S 0.750 0.155 0.516
S 0.250 0.845 0.484

Output
* raw total energy: -4.77 eV/atom

Entry 4:
ZnCu15H24Cl8O24 | PBE | optimized geometry

Lattice parameters (Å, degrees): 9.204 9.272 9.298 97.00 97.24 97.47
Fractional positions:
Zn 0.000 0.500 0.000
Cu 0.753 0.997 0.256
Cu 0.996 0.255 0.753
Cu 0.255 0.755 0.997
Cu 0.247 0.003 0.744
Cu 0.004 0.745 0.247
Cu 0.745 0.245 0.003
Cu 0.500 0.500 0.500
Cu 0.500 0.000 0.000
Cu 0.000 0.000 0.500
Cu 0.498 0.245 0.254
Cu 0.246 0.255 0.500
Cu 0.254 0.497 0.244
Cu 0.502 0.755 0.746
Cu 0.754 0.745 0.500
Cu 0.746 0.503 0.756
H 0.482 0.778 0.475
H 0.775 0.473 0.483
H 0.474 0.484 0.782
H 0.518 0.222 0.525
H 0.225 0.527 0.517
H 0.526 0.516 0.218
H 0.486 0.978 0.294
H 0.978 0.293 0.487
H 0.290 0.486 0.978
H 0.514 0.022 0.706
H 0.022 0.707 0.513
H 0.710 0.514 0.022
H 0.773 0.972 0.982
H 0.973 0.982 0.774
H 0.981 0.780 0.975
H 0.227 0.028 0.018
H 0.027 0.018 0.226
H 0.019 0.220 0.025
H 0.467 0.261 0.976
H 0.262 0.976 0.468
H 0.977 0.469 0.268
H 0.533 0.739 0.024
H 0.738 0.024 0.532
H 0.023 0.531 0.732
Cl 0.818 0.321 0.314
Cl 0.322 0.313 0.819
Cl 0.314 0.818 0.322
Cl 0.182 0.679 0.686
Cl 0.678 0.687 0.181
Cl 0.686 0.182 0.678
Cl 0.819 0.820 0.819
Cl 0.181 0.180 0.181
O 0.728 0.039 0.050
O 0.041 0.050 0.729
O 0.048 0.733 0.042
O 0.272 0.961 0.950
O 0.959 0.950 0.271
O 0.952 0.267 0.958
O 0.536 0.218 0.046
O 0.217 0.044 0.536
O 0.047 0.538 0.226
O 0.464 0.782 0.954
O 0.783 0.956 0.464
O 0.953 0.462 0.774
O 0.549 0.731 0.543
O 0.725 0.539 0.547
O 0.545 0.553 0.739
O 0.451 0.269 0.457
O 0.275 0.461 0.453
O 0.455 0.447 0.261
O 0.557 0.050 0.258
O 0.049 0.254 0.556
O 0.244 0.552 0.045
O 0.443 0.950 0.742
O 0.951 0.746 0.444
O 0.756 0.448 0.955

Output
* raw total energy: -4.65 eV/atom
* total moment: 5.94 Bohr magnetons per cell